# 1
A geometry-optimized K2Mn7H18C18O40 structure, computed with PBE with a Hubbard U.

Unit cell a=7.133 b=11.110 c=15.127 alpha=110.87 beta=96.38 gamma=94.00
Atoms (fractional coordinates):
K: 0.078 0.038 0.167
K: 0.922 0.962 0.833
Mn: 0.093 0.454 0.211
Mn: 0.169 0.701 0.427
Mn: 0.297 0.749 0.235
Mn: 0.500 0.000 0.000
Mn: 0.703 0.251 0.765
Mn: 0.831 0.299 0.573
Mn: 0.907 0.546 0.789
H: 0.014 0.982 0.605
H: 0.172 0.361 0.950
H: 0.254 0.711 0.941
H: 0.289 0.143 0.549
H: 0.323 0.181 0.815
H: 0.330 0.371 0.440
H: 0.364 0.493 0.664
H: 0.401 0.750 0.625
H: 0.458 0.568 0.919
H: 0.542 0.432 0.081
H: 0.599 0.250 0.375
H: 0.636 0.507 0.336
H: 0.670 0.629 0.560
H: 0.677 0.819 0.185
H: 0.711 0.857 0.451
H: 0.746 0.289 0.059
H: 0.828 0.639 0.050
H: 0.986 0.018 0.395
C: 0.053 0.374 0.902
C: 0.069 0.934 0.377
C: 0.157 0.779 0.928
C: 0.211 0.473 0.667
C: 0.264 0.791 0.638
C: 0.270 0.432 0.402
C: 0.428 0.142 0.853
C: 0.434 0.484 0.123
C: 0.436 0.180 0.585
C: 0.564 0.820 0.415
C: 0.566 0.516 0.877
C: 0.572 0.858 0.147
C: 0.730 0.568 0.598
C: 0.736 0.209 0.362
C: 0.789 0.527 0.333
C: 0.843 0.221 0.072
C: 0.931 0.066 0.623
C: 0.947 0.626 0.098
O: 0.003 0.268 0.126
O: 0.040 0.858 0.422
O: 0.045 0.484 0.898
O: 0.061 0.729 0.143
O: 0.112 0.390 0.594
O: 0.141 0.775 0.562
O: 0.162 0.539 0.747
O: 0.180 0.924 0.316
O: 0.189 0.634 0.292
O: 0.199 0.376 0.316
O: 0.202 0.900 0.969
O: 0.229 0.849 0.720
O: 0.285 0.553 0.453
O: 0.330 0.415 0.154
O: 0.373 0.103 0.916
O: 0.403 0.860 0.168
O: 0.428 0.600 0.132
O: 0.441 0.110 0.099
O: 0.443 0.805 0.466
O: 0.460 0.204 0.675
O: 0.540 0.796 0.325
O: 0.557 0.195 0.534
O: 0.559 0.890 0.901
O: 0.572 0.400 0.868
O: 0.597 0.140 0.832
O: 0.627 0.897 0.084
O: 0.670 0.585 0.846
O: 0.715 0.447 0.547
O: 0.771 0.151 0.280
O: 0.798 0.100 0.031
O: 0.801 0.624 0.684
O: 0.811 0.366 0.708
O: 0.820 0.076 0.684
O: 0.838 0.461 0.253
O: 0.859 0.225 0.438
O: 0.888 0.610 0.406
O: 0.939 0.271 0.857
O: 0.955 0.516 0.102
O: 0.960 0.142 0.578
O: 0.997 0.732 0.874

## Properties
**Energy**: -6.63 eV per atom
**Size of the total moment**: 21.00 μB/f.u.
**Relative energy among the computed polymorphs**: 0.0 kJ per mole of atoms
**Crystal system**: triclinic
**Formation enthalpy at 0 K**: -1313 meV per atom

# 2
A geometry-optimized K2Mo2H4C4O15 structure, computed with PBE with a Hubbard U.

Unit cell a=7.663 b=14.541 c=6.824 alpha=90.00 beta=94.82 gamma=90.00
Atoms (fractional coordinates):
K: 0.193 0.138 0.360
K: 0.193 0.362 0.860
K: 0.807 0.638 0.140
K: 0.807 0.862 0.640
Mo: 0.104 0.607 0.625
Mo: 0.104 0.893 0.125
Mo: 0.896 0.107 0.875
Mo: 0.896 0.393 0.375
H: 0.257 0.679 0.272
H: 0.257 0.821 0.772
H: 0.277 0.568 0.261
H: 0.277 0.932 0.761
H: 0.723 0.068 0.239
H: 0.723 0.432 0.739
H: 0.743 0.179 0.228
H: 0.743 0.321 0.728
C: 0.463 0.676 0.761
C: 0.463 0.824 0.261
C: 0.486 0.570 0.753
C: 0.486 0.930 0.253
C: 0.514 0.070 0.747
C: 0.514 0.430 0.247
C: 0.537 0.176 0.739
C: 0.537 0.324 0.239
O: 0.000 0.000 0.000
O: 0.000 0.500 0.500
O: 0.037 0.195 0.956
O: 0.037 0.305 0.456
O: 0.057 0.589 0.866
O: 0.057 0.911 0.366
O: 0.210 0.619 0.316
O: 0.210 0.881 0.816
O: 0.306 0.704 0.697
O: 0.306 0.796 0.197
O: 0.348 0.527 0.677
O: 0.348 0.973 0.177
O: 0.374 0.034 0.681
O: 0.374 0.466 0.181
O: 0.417 0.227 0.675
O: 0.417 0.273 0.175
O: 0.583 0.727 0.825
O: 0.583 0.773 0.325
O: 0.626 0.534 0.819
O: 0.626 0.966 0.319
O: 0.652 0.027 0.823
O: 0.652 0.473 0.323
O: 0.694 0.204 0.803
O: 0.694 0.296 0.303
O: 0.790 0.119 0.184
O: 0.790 0.381 0.684
O: 0.943 0.089 0.634
O: 0.943 0.411 0.134
O: 0.963 0.695 0.544
O: 0.963 0.805 0.044

## Properties
**Energy**: -6.61 eV per atom
**Size of the total moment**: 0.00 μB/f.u.
**Crystal system**: monoclinic
**Formation enthalpy at 0 K**: -1724 meV per atom

# 3
A geometry-optimized K2NiH8C2O10 structure, computed with PBE with a Hubbard U.

Unit cell a=6.893 b=6.286 c=12.302 alpha=90.00 beta=114.34 gamma=90.00
Atoms (fractional coordinates):
K: 0.236 0.155 0.317
K: 0.236 0.345 0.817
K: 0.764 0.655 0.183
K: 0.764 0.845 0.683
Ni: 0.000 0.000 0.000
Ni: 0.000 0.500 0.500
H: 0.194 0.659 0.367
H: 0.194 0.841 0.867
H: 0.205 0.700 0.983
H: 0.205 0.800 0.483
H: 0.296 0.175 0.577
H: 0.296 0.325 0.077
H: 0.427 0.111 0.110
H: 0.427 0.389 0.610
H: 0.573 0.611 0.390
H: 0.573 0.889 0.890
H: 0.704 0.675 0.923
H: 0.704 0.825 0.423
H: 0.795 0.200 0.517
H: 0.795 0.300 0.017
H: 0.806 0.159 0.133
H: 0.806 0.341 0.633
C: 0.256 0.657 0.181
C: 0.256 0.843 0.681
C: 0.744 0.157 0.319
C: 0.744 0.343 0.819
O: 0.106 0.719 0.409
O: 0.106 0.781 0.909
O: 0.124 0.684 0.654
O: 0.124 0.816 0.154
O: 0.291 0.173 0.051
O: 0.291 0.327 0.551
O: 0.316 0.569 0.285
O: 0.316 0.931 0.785
O: 0.328 0.585 0.105
O: 0.328 0.915 0.605
O: 0.672 0.085 0.395
O: 0.672 0.415 0.895
O: 0.684 0.069 0.215
O: 0.684 0.431 0.715
O: 0.709 0.673 0.449
O: 0.709 0.827 0.949
O: 0.876 0.184 0.846
O: 0.876 0.316 0.346
O: 0.894 0.219 0.091
O: 0.894 0.281 0.591

## Properties
**Energy**: -5.67 eV per atom
**Size of the total moment**: 2.00 μB/f.u.
**Crystal system**: monoclinic
**Formation enthalpy at 0 K**: -1599 meV per atom

- The lowest size of the total moment belongs to which entry?
  K2Mo2H4C4O15

- Among the records above, which one has the lowest size of the total moment?
  K2Mo2H4C4O15